(1)
DFT (r²SCAN) results for a geometry-optimized TiVRe2 structure. Values from VASP.

Quantum ESPRESSO input file:
```
&SYSTEM
  ibrav = 0, nat = 4, ntyp = 3
/
ATOMIC_SPECIES
Ti 47.87 Ti.upf
V 50.94 V.upf
Re 186.21 Re.upf
ATOMIC_POSITIONS crystal
Ti 0.000 0.000 0.000
V 0.500 0.500 0.500
Re 0.250 0.250 0.250
Re 0.750 0.750 0.750
CELL_PARAMETERS angstrom
0.000 3.066 3.066
3.066 0.000 3.066
3.066 3.066 0.000
```

(2)
DFT (r²SCAN) results for a geometry-optimized TiRe2W structure. Values from VASP.

Quantum ESPRESSO input file:
```
&SYSTEM
  ibrav = 0, nat = 4, ntyp = 3
/
ATOMIC_SPECIES
Ti 47.87 Ti.upf
Re 186.21 Re.upf
W 183.84 W.upf
ATOMIC_POSITIONS crystal
Ti 0.000 0.000 0.000
Re 0.250 0.250 0.250
Re 0.750 0.750 0.750
W 0.500 0.500 0.500
CELL_PARAMETERS angstrom
0.000 3.122 3.122
3.122 0.000 3.122
3.122 3.122 0.000
```

(3)
DFT (r²SCAN) results for a geometry-optimized V2ReW structure. Values from VASP.

Quantum ESPRESSO input file:
```
&SYSTEM
  ibrav = 0, nat = 4, ntyp = 3
/
ATOMIC_SPECIES
V 50.94 V.upf
Re 186.21 Re.upf
W 183.84 W.upf
ATOMIC_POSITIONS crystal
V 0.250 0.250 0.250
V 0.750 0.750 0.750
Re 0.000 0.000 0.000
W 0.500 0.500 0.500
CELL_PARAMETERS angstrom
0.000 3.047 3.047
3.047 0.000 3.047
3.047 3.047 0.000
```

(4)
DFT (r²SCAN) results for a geometry-optimized ReW3 structure. Values from VASP.

Quantum ESPRESSO input file:
```
&SYSTEM
  ibrav = 0, nat = 8, ntyp = 2
/
ATOMIC_SPECIES
Re 186.21 Re.upf
W 183.84 W.upf
ATOMIC_POSITIONS crystal
Re 0.000 0.000 0.000
Re 0.500 0.500 0.500
W 0.000 0.250 0.500
W 0.000 0.750 0.500
W 0.250 0.500 0.000
W 0.500 0.000 0.250
W 0.500 0.000 0.750
W 0.750 0.500 0.000
CELL_PARAMETERS angstrom
5.022 0.000 0.000
0.000 5.022 0.000
0.000 0.000 5.022
```

(5)
DFT (r²SCAN) results for a geometry-optimized YRe2 structure. Values from VASP.

Quantum ESPRESSO input file:
```
&SYSTEM
  ibrav = 0, nat = 12, ntyp = 2
/
ATOMIC_SPECIES
Y 88.91 Y.upf
Re 186.21 Re.upf
ATOMIC_POSITIONS crystal
Y 0.333 0.667 0.063
Y 0.333 0.667 0.437
Y 0.667 0.333 0.563
Y 0.667 0.333 0.937
Re 0.000 0.000 0.000
Re 0.000 0.000 0.500
Re 0.171 0.342 0.750
Re 0.171 0.829 0.750
Re 0.342 0.171 0.250
Re 0.658 0.829 0.750
Re 0.829 0.171 0.250
Re 0.829 0.658 0.250
CELL_PARAMETERS angstrom
5.412 0.000 0.000
-2.706 4.687 0.000
0.000 0.000 8.821
```

(6)
DFT (r²SCAN) results for a geometry-optimized Ru3Rh structure. Values from VASP.

Quantum ESPRESSO input file:
```
&SYSTEM
  ibrav = 0, nat = 8, ntyp = 2
/
ATOMIC_SPECIES
Ru 101.07 Ru.upf
Rh 102.91 Rh.upf
ATOMIC_POSITIONS crystal
Ru 0.167 0.333 0.250
Ru 0.167 0.833 0.250
Ru 0.333 0.167 0.750
Ru 0.667 0.833 0.250
Ru 0.833 0.167 0.750
Ru 0.833 0.667 0.750
Rh 0.333 0.667 0.750
Rh 0.667 0.333 0.250
CELL_PARAMETERS angstrom
5.411 0.000 0.000
-2.706 4.686 0.000
0.000 0.000 4.285
```

(7)
DFT (r²SCAN) results for a geometry-optimized RuRh structure. Values from VASP.

Quantum ESPRESSO input file:
```
&SYSTEM
  ibrav = 0, nat = 2, ntyp = 2
/
ATOMIC_SPECIES
Ru 101.07 Ru.upf
Rh 102.91 Rh.upf
ATOMIC_POSITIONS crystal
Ru 0.000 0.000 0.000
Rh 0.667 0.333 0.500
CELL_PARAMETERS angstrom
2.709 0.000 0.000
-1.355 2.346 0.000
0.000 0.000 4.298
```

(8)
DFT (r²SCAN) results for a geometry-optimized RhS2 structure. Values from VASP.

Quantum ESPRESSO input file:
```
&SYSTEM
  ibrav = 0, nat = 12, ntyp = 2
/
ATOMIC_SPECIES
Rh 102.91 Rh.upf
S 32.06 S.upf
ATOMIC_POSITIONS crystal
Rh 0.000 0.000 0.000
Rh 0.000 0.500 0.500
Rh 0.500 0.000 0.500
Rh 0.500 0.500 0.000
S 0.108 0.608 0.892
S 0.108 0.892 0.392
S 0.392 0.108 0.892
S 0.392 0.392 0.392
S 0.608 0.608 0.608
S 0.608 0.892 0.108
S 0.892 0.108 0.608
S 0.892 0.392 0.108
CELL_PARAMETERS angstrom
5.730 0.000 0.000
0.000 5.730 0.000
0.000 0.000 5.730
```

(9)
DFT (r²SCAN) results for a geometry-optimized Rh3S4 structure. Values from VASP.

Quantum ESPRESSO input file:
```
&SYSTEM
  ibrav = 0, nat = 21, ntyp = 2
/
ATOMIC_SPECIES
Rh 102.91 Rh.upf
S 32.06 S.upf
ATOMIC_POSITIONS crystal
Rh 0.000 0.000 0.000
Rh 0.160 0.840 0.500
Rh 0.217 0.509 0.951
Rh 0.350 0.350 0.553
Rh 0.491 0.783 0.049
Rh 0.509 0.217 0.951
Rh 0.650 0.650 0.447
Rh 0.783 0.491 0.049
Rh 0.840 0.160 0.500
S 0.032 0.716 0.114
S 0.118 0.118 0.389
S 0.141 0.559 0.600
S 0.284 0.968 0.886
S 0.416 0.416 0.227
S 0.441 0.859 0.400
S 0.559 0.141 0.600
S 0.584 0.584 0.773
S 0.716 0.032 0.114
S 0.859 0.441 0.400
S 0.882 0.882 0.611
S 0.968 0.284 0.886
CELL_PARAMETERS angstrom
5.209 -5.404 0.000
5.209 5.404 0.000
-1.928 0.000 5.962
```

(10)
DFT (r²SCAN) results for a geometry-optimized SbRhS structure. Values from VASP.

Quantum ESPRESSO input file:
```
&SYSTEM
  ibrav = 0, nat = 12, ntyp = 3
/
ATOMIC_SPECIES
Sb 121.76 Sb.upf
Rh 102.91 Rh.upf
S 32.06 S.upf
ATOMIC_POSITIONS crystal
Sb 0.121 0.121 0.121
Sb 0.379 0.879 0.621
Sb 0.621 0.379 0.879
Sb 0.879 0.621 0.379
Rh 0.011 0.511 0.989
Rh 0.489 0.489 0.489
Rh 0.511 0.989 0.011
Rh 0.989 0.011 0.511
S 0.118 0.382 0.618
S 0.382 0.618 0.118
S 0.618 0.118 0.382
S 0.882 0.882 0.882
CELL_PARAMETERS angstrom
6.071 0.000 0.000
0.000 6.071 0.000
0.000 0.000 6.071
```

(11)
DFT (r²SCAN) results for a geometry-optimized Tl2Rh3S2 structure. Values from VASP.

Quantum ESPRESSO input file:
```
&SYSTEM
  ibrav = 0, nat = 7, ntyp = 3
/
ATOMIC_SPECIES
Tl 204.38 Tl.upf
Rh 102.91 Rh.upf
S 32.06 S.upf
ATOMIC_POSITIONS crystal
Tl 0.000 0.000 0.000
Tl 0.500 0.500 0.500
Rh 0.000 0.500 0.500
Rh 0.500 0.000 0.500
Rh 0.500 0.500 0.000
S 0.220 0.220 0.220
S 0.780 0.780 0.780
CELL_PARAMETERS angstrom
2.848 1.644 4.698
-2.848 1.644 4.698
0.000 -3.288 4.698
```

(12)
DFT (r²SCAN) results for a geometry-optimized SbRh2 structure. Values from VASP.

Quantum ESPRESSO input file:
```
&SYSTEM
  ibrav = 0, nat = 12, ntyp = 2
/
ATOMIC_SPECIES
Sb 121.76 Sb.upf
Rh 102.91 Rh.upf
ATOMIC_POSITIONS crystal
Sb 0.218 0.250 0.108
Sb 0.282 0.750 0.608
Sb 0.718 0.250 0.392
Sb 0.782 0.750 0.892
Rh 0.039 0.250 0.801
Rh 0.159 0.250 0.430
Rh 0.341 0.750 0.930
Rh 0.461 0.750 0.301
Rh 0.539 0.250 0.699
Rh 0.659 0.250 0.070
Rh 0.841 0.750 0.570
Rh 0.961 0.750 0.199
CELL_PARAMETERS angstrom
5.807 0.000 0.000
0.000 4.176 0.000
0.000 0.000 7.968
```

no.,E_form (kJ per mole of atoms),total DFT energy (no corrections) (eV per atom),density (g/cm³)
1,-45,-33.4271,13.58
2,-39,-42.6888,16.48
3,-28,-33.2790,13.85
4,4,-51.5854,19.34
5,-25,-41.9671,13.69
6,0,-25.1036,12.41
7,3,-24.7478,12.39
8,-45,-13.8663,5.90
9,-58,-15.5412,6.49
10,-65,-19.9625,7.62
11,-39,-28.2327,9.83
12,-36,-25.0346,11.26